# 1
# Gd3Si2BO10

A relaxed Gd3Si2BO10 crystal (GGA-PBE, the Materials Project).

Output
* raw total energy: -1276.740 eV/cell
* theoretical density: 5.91 g cm⁻³
* symmetry: Pbca, No. 61
* size of the total moment: 0.44 μB per atom

Cell and atoms, written as POSCAR:
```
Gd3Si2BO10
1.0
7.027 0.000 0.000
0.000 9.729 0.000
0.000 0.000 22.973
O Si Gd B
80 16 24 8
direct
0.582 0.875 0.491
0.702 0.893 0.721
0.871 0.599 0.211
0.876 0.156 0.711
0.298 0.107 0.279
0.163 0.364 0.993
0.376 0.844 0.789
0.876 0.656 0.789
0.298 0.607 0.221
0.624 0.656 0.289
0.798 0.893 0.221
0.172 0.453 0.393
0.828 0.547 0.607
0.828 0.047 0.893
0.543 0.466 0.400
0.172 0.953 0.107
0.034 0.388 0.671
0.582 0.375 0.009
0.747 0.240 0.082
0.534 0.112 0.671
0.837 0.636 0.007
0.357 0.725 0.110
0.129 0.401 0.789
0.163 0.864 0.507
0.371 0.901 0.211
0.247 0.760 0.418
0.457 0.534 0.600
0.534 0.612 0.829
0.247 0.260 0.082
0.129 0.901 0.711
0.202 0.607 0.721
0.043 0.534 0.100
0.798 0.393 0.279
0.966 0.612 0.329
0.643 0.275 0.890
0.328 0.953 0.607
0.966 0.112 0.171
0.357 0.225 0.390
0.253 0.260 0.582
0.253 0.760 0.918
0.629 0.599 0.711
0.202 0.107 0.779
0.418 0.625 0.991
0.672 0.047 0.393
0.124 0.844 0.289
0.753 0.240 0.582
0.918 0.875 0.991
0.857 0.775 0.110
0.871 0.099 0.289
0.857 0.275 0.390
0.957 0.966 0.600
0.466 0.388 0.171
0.643 0.775 0.610
0.418 0.125 0.509
0.143 0.225 0.890
0.837 0.136 0.493
0.466 0.888 0.329
0.747 0.740 0.418
0.702 0.393 0.779
0.337 0.864 0.007
0.672 0.547 0.107
0.376 0.344 0.711
0.328 0.453 0.893
0.082 0.625 0.491
0.043 0.034 0.400
0.957 0.466 0.900
0.629 0.099 0.789
0.663 0.636 0.507
0.124 0.344 0.211
0.371 0.401 0.289
0.543 0.966 0.100
0.082 0.125 0.009
0.918 0.375 0.509
0.753 0.740 0.918
0.034 0.888 0.829
0.337 0.364 0.493
0.457 0.034 0.900
0.624 0.156 0.211
0.663 0.136 0.993
0.143 0.725 0.610
0.684 0.062 0.721
0.184 0.938 0.779
0.816 0.062 0.221
0.316 0.438 0.221
0.141 0.878 0.578
0.684 0.562 0.779
0.859 0.622 0.078
0.641 0.122 0.922
0.141 0.378 0.922
0.359 0.878 0.078
0.359 0.378 0.422
0.641 0.622 0.578
0.316 0.938 0.279
0.859 0.122 0.422
0.816 0.562 0.279
0.184 0.438 0.721
0.904 0.733 0.682
0.677 0.865 0.836
0.323 0.635 0.336
0.177 0.135 0.664
0.134 0.990 0.928
0.596 0.733 0.182
0.366 0.990 0.428
0.177 0.635 0.836
0.323 0.135 0.164
0.904 0.233 0.818
0.134 0.490 0.572
0.823 0.865 0.336
0.866 0.510 0.428
0.096 0.267 0.318
0.866 0.010 0.072
0.404 0.267 0.818
0.096 0.767 0.182
0.634 0.510 0.928
0.634 0.010 0.572
0.366 0.490 0.072
0.823 0.365 0.164
0.677 0.365 0.664
0.404 0.767 0.682
0.596 0.233 0.318
0.838 0.757 0.971
0.338 0.243 0.529
0.162 0.743 0.471
0.838 0.257 0.529
0.662 0.257 0.029
0.662 0.757 0.471
0.338 0.743 0.971
0.162 0.243 0.029
```

# 2
# Ta3Te4ClO15

A relaxed Ta3Te4ClO15 crystal (GGA-PBE, the Materials Project).

Output
* raw total energy: -668.085 eV/cell
* theoretical density: 6.06 g cm⁻³
* symmetry: C2/c, No. 15

Cell and atoms, written as POSCAR:
```
Ta3Te4ClO15
1.0
-6.449 -6.673 -4.747
0.739 -6.827 -7.841
2.229 -20.521 6.201
Ta O Te Cl
12 60 16 4
direct
0.491 0.751 0.006
0.752 0.003 0.490
0.003 0.752 0.990
0.509 0.249 0.994
0.997 0.248 0.010
0.860 0.634 0.747
0.248 0.997 0.510
0.634 0.860 0.247
0.140 0.366 0.253
0.751 0.491 0.506
0.249 0.509 0.494
0.366 0.140 0.753
0.902 0.632 0.051
0.476 0.740 0.535
0.478 0.665 0.946
0.656 0.924 0.318
0.007 0.744 0.496
0.950 0.761 0.907
0.344 0.076 0.682
0.914 0.102 0.076
0.086 0.898 0.924
0.102 0.914 0.576
0.963 0.239 0.929
0.740 0.476 0.035
0.368 0.098 0.449
0.476 0.197 0.921
0.050 0.239 0.093
0.239 0.050 0.593
0.632 0.902 0.551
0.239 0.963 0.429
0.348 0.221 0.826
0.993 0.256 0.504
0.335 0.522 0.554
0.256 0.993 0.004
0.803 0.524 0.579
0.652 0.779 0.174
0.221 0.348 0.326
0.197 0.476 0.421
0.761 0.037 0.571
0.636 0.809 0.930
0.037 0.761 0.071
0.711 0.568 0.819
0.983 0.733 0.673
0.343 0.633 0.411
0.744 0.007 0.996
0.083 0.379 0.747
0.665 0.478 0.446
0.379 0.083 0.247
0.191 0.364 0.570
0.917 0.621 0.253
0.364 0.191 0.070
0.779 0.652 0.674
0.924 0.656 0.818
0.568 0.711 0.319
0.367 0.657 0.089
0.621 0.917 0.753
0.524 0.260 0.465
0.076 0.344 0.182
0.657 0.367 0.589
0.017 0.267 0.327
0.898 0.086 0.424
0.733 0.983 0.173
0.260 0.524 0.965
0.432 0.289 0.681
0.633 0.343 0.911
0.522 0.335 0.054
0.267 0.017 0.827
0.524 0.803 0.079
0.809 0.636 0.430
0.098 0.368 0.949
0.289 0.432 0.181
0.761 0.950 0.407
0.123 0.231 0.644
0.266 0.393 0.875
0.873 0.991 0.637
0.605 0.490 0.371
0.769 0.877 0.856
0.607 0.734 0.625
0.393 0.266 0.375
0.490 0.605 0.871
0.877 0.769 0.356
0.991 0.873 0.137
0.231 0.123 0.144
0.734 0.607 0.125
0.510 0.395 0.129
0.395 0.510 0.629
0.127 0.009 0.363
0.009 0.127 0.863
0.540 0.460 0.750
0.460 0.540 0.250
0.962 0.038 0.250
0.038 0.962 0.750
```

# 3
# MgTi2Si2O8

A relaxed MgTi2Si2O8 crystal (GGA-PBE, the Materials Project).

Output
* raw total energy: -98.252 eV/cell
* theoretical density: 2.94 g cm⁻³
* symmetry: Amm2, No. 38
* size of the total moment: 0.00 μB per atom

Cell and atoms, written as POSCAR:
```
MgTi2Si2O8
1.0
-2.767 -4.421 0.000
-2.767 4.421 0.000
0.000 0.000 -7.026
O Mg Si Ti
8 1 2 2
direct
0.781 0.705 0.750
0.217 0.286 0.250
0.295 0.219 0.750
0.714 0.783 0.250
0.763 0.237 0.565
0.251 0.749 0.441
0.251 0.749 0.059
0.763 0.237 0.935
0.103 0.897 0.250
0.652 0.348 0.750
0.366 0.634 0.250
0.970 0.030 0.569
0.970 0.030 0.931
```

# 4
# KAlCl4

A relaxed KAlCl4 crystal (GGA-PBE, the Materials Project).

Output
* raw total energy: -91.216 eV/cell
* theoretical density: 1.85 g cm⁻³
* maximum piezoelectric response: 0.19 C/m2
* symmetry: P2_1, No. 4
* size of the total moment: 0.00 μB per atom

Cell and atoms, written as POSCAR:
```
KAlCl4
1.0
-8.820 2.895 -5.285
-3.978 -4.595 4.122
-1.803 6.618 6.635
Cl K Al
16 4 4
direct
0.895 0.468 0.301
0.226 0.544 0.313
0.323 0.029 0.202
0.148 0.265 0.945
0.691 0.211 0.075
0.648 0.735 0.055
0.823 0.971 0.798
0.191 0.789 0.925
0.726 0.456 0.687
0.993 0.947 0.181
0.033 0.712 0.571
0.533 0.288 0.429
0.072 0.234 0.556
0.572 0.766 0.444
0.493 0.053 0.819
0.395 0.532 0.699
0.307 0.942 0.554
0.916 0.563 0.950
0.416 0.437 0.050
0.807 0.058 0.446
0.558 0.509 0.567
0.663 0.994 0.934
0.163 0.006 0.066
0.058 0.491 0.433
```

# 5
# ReNCl4

A relaxed ReNCl4 crystal (GGA-PBE, the Materials Project).

Output
* raw total energy: -157.795 eV/cell
* theoretical density: 3.30 g cm⁻³
* symmetry: P2_1/m, No. 11
* size of the total moment: 0.56 μB per atom

Cell and atoms, written as POSCAR:
```
ReNCl4
1.0
-7.267 -6.611 -6.291
6.820 -3.920 -3.759
1.091 -7.619 6.747
Re Cl N
6 24 6
direct
0.250 0.172 0.582
0.138 0.294 0.755
0.862 0.706 0.245
0.750 0.828 0.418
0.362 0.294 0.755
0.638 0.706 0.245
0.250 0.341 0.397
0.464 0.632 0.145
0.750 0.593 0.087
0.250 0.979 0.277
0.964 0.368 0.855
0.455 0.174 0.583
0.536 0.368 0.855
0.955 0.826 0.417
0.545 0.826 0.417
0.883 0.470 0.371
0.250 0.407 0.913
0.385 0.070 0.895
0.617 0.470 0.371
0.045 0.174 0.583
0.750 0.659 0.603
0.383 0.530 0.629
0.750 0.021 0.723
0.750 0.083 0.353
0.885 0.930 0.105
0.036 0.632 0.145
0.115 0.070 0.895
0.615 0.930 0.105
0.117 0.530 0.629
0.250 0.917 0.647
0.250 0.800 0.341
0.994 0.770 0.823
0.506 0.770 0.823
0.006 0.230 0.177
0.494 0.230 0.177
0.750 0.200 0.659
```

# 6
# LuReTc2

A relaxed LuReTc2 crystal (GGA-PBE, the Materials Project).

Output
* raw total energy: -37.852 eV/cell
* theoretical density: 14.15 g cm⁻³
* symmetry: Fm-3m, No. 225
* size of the total moment: 0.00 μB per atom

Cell and atoms, written as POSCAR:
```
LuReTc2
1.0
0.000 3.198 3.198
3.198 0.000 3.198
3.198 3.198 0.000
Tc Lu Re
2 1 1
direct
0.750 0.750 0.750
0.250 0.250 0.250
0.000 0.000 0.000
0.500 0.500 0.500
```

no.,DFT formation energy (eV per atom)
1,-3.577
2,-2.309
3,-2.763
4,-2.168
5,-0.097
6,-0.041